# 1
VASP calculation (PBE-GGA) on a relaxed LiUO3 crystal.

Lattice parameters (Å, degrees): 4.276 4.276 4.276 90.00 90.00 90.00
Atoms (fractional coordinates):
Li (0.000, 0.000, 0.000)
U (0.500, 0.500, 0.500)
O (0.000, 0.500, 0.500)
O (0.500, 0.000, 0.500)
O (0.500, 0.500, 0.000)

Output
E: -8.336 eV/atom
Volume: 15.64 Å³ per atom
Space-group type: Pm-3m
Formation energy: -1515 kJ/mol of formula units
Crystal system: cubic

# 2
VASP calculation (PBE-GGA) on a relaxed LiUO3 crystal.

Lattice parameters (Å, degrees): 5.933 5.933 5.933 55.02 55.02 55.02
Atoms (fractional coordinates):
Li (0.000, 0.000, 0.000)
Li (0.500, 0.500, 0.500)
U (0.273, 0.273, 0.273)
U (0.773, 0.773, 0.773)
O (0.038, 0.380, 0.664)
O (0.164, 0.880, 0.538)
O (0.380, 0.664, 0.038)
O (0.538, 0.164, 0.880)
O (0.664, 0.038, 0.380)
O (0.880, 0.538, 0.164)

Output
E: -8.545 eV/atom
Volume: 13.06 Å³ per atom
Piezoelectric modulus e_max: 3.07 C/m2
Space-group type: R3c
Formation energy: -1615 kJ/mol of formula units
Crystal system: trigonal

# 3
VASP calculation (PBE-GGA) on a relaxed LiUO3 crystal.

Lattice parameters (Å, degrees): 5.032 5.032 6.934 90.10 90.10 71.09
Atoms (fractional coordinates):
Li (0.000, 0.000, 0.000)
Li (0.000, 0.000, 0.500)
U (0.641, 0.642, 0.248)
U (0.642, 0.641, 0.748)
O (0.411, 0.847, 0.998)
O (0.414, 0.850, 0.499)
O (0.847, 0.411, 0.498)
O (0.850, 0.414, 0.999)
O (0.876, 0.887, 0.749)
O (0.887, 0.876, 0.249)

Output
E: -8.337 eV/atom
Volume: 16.61 Å³ per atom
Space-group type: Cc
Formation energy: -1515 kJ/mol of formula units
Crystal system: monoclinic

# 4
VASP calculation (PBE-GGA) on a relaxed Li3UO4 crystal.

Lattice parameters (Å, degrees): 5.300 5.300 5.300 129.84 129.84 73.66
Atoms (fractional coordinates):
Li (0.000, 0.000, 0.000)
Li (0.250, 0.750, 0.500)
Li (0.750, 0.250, 0.500)
U (0.500, 0.500, 0.000)
O (0.000, 0.500, 0.500)
O (0.262, 0.262, 0.000)
O (0.500, 0.000, 0.500)
O (0.738, 0.738, 0.000)

Output
E: -7.206 eV/atom
Volume: 10.70 Å³ per atom
Space-group type: I4/mmm
Formation energy: -2276 kJ/mol of formula units
Crystal system: tetragonal

# 5
VASP calculation (PBE-GGA) on a relaxed LiU3O8 crystal.

Lattice parameters (Å, degrees): 4.228 6.896 6.896 119.83 90.00 90.00
Atoms (fractional coordinates):
Li (0.000, 0.000, 0.000)
U (0.500, 0.270, 0.905)
U (0.500, 0.599, 0.599)
U (0.500, 0.905, 0.270)
O (0.000, 0.241, 0.911)
O (0.000, 0.631, 0.631)
O (0.000, 0.911, 0.241)
O (0.500, 0.031, 0.031)
O (0.500, 0.252, 0.521)
O (0.500, 0.521, 0.252)
O (0.500, 0.599, 0.921)
O (0.500, 0.921, 0.599)

Output
E: -9.379 eV/atom
Volume: 14.53 Å³ per atom
Space-group type: Amm2
Formation energy: -4118 kJ/mol of formula units
Crystal system: orthorhombic

# 6
VASP calculation (PBE-GGA) on a relaxed LiYO3 crystal.

Lattice parameters (Å, degrees): 3.687 3.687 3.687 90.00 90.00 90.00
Atoms (fractional coordinates):
Li (0.000, 0.000, 0.000)
Y (0.500, 0.500, 0.500)
O (0.000, 0.000, 0.500)
O (0.000, 0.500, 0.000)
O (0.500, 0.000, 0.000)

Output
E: -6.469 eV/atom
Volume: 10.02 Å³ per atom
Space-group type: Pm-3m
Formation energy: -1079 kJ/mol of formula units
Crystal system: cubic

# 7
VASP calculation (PBE-GGA) on a relaxed Li6ZnO4 crystal.

Lattice parameters (Å, degrees): 6.598 6.598 4.705 90.00 90.00 90.00
Atoms (fractional coordinates):
Li (0.032, 0.532, 0.250)
Li (0.032, 0.968, 0.250)
Li (0.250, 0.250, 0.205)
Li (0.250, 0.250, 0.705)
Li (0.468, 0.532, 0.250)
Li (0.468, 0.968, 0.250)
Li (0.532, 0.032, 0.750)
Li (0.532, 0.468, 0.750)
Li (0.750, 0.750, 0.295)
Li (0.750, 0.750, 0.795)
Li (0.968, 0.032, 0.750)
Li (0.968, 0.468, 0.750)
Zn (0.250, 0.750, 0.750)
Zn (0.750, 0.250, 0.250)
O (0.013, 0.250, 0.466)
O (0.250, 0.013, 0.966)
O (0.250, 0.487, 0.966)
O (0.487, 0.250, 0.466)
O (0.513, 0.750, 0.534)
O (0.750, 0.513, 0.034)
O (0.750, 0.987, 0.034)
O (0.987, 0.750, 0.534)

Output
E: -4.742 eV/atom
Volume: 9.31 Å³ per atom
Space-group type: P4_2/nmc
Formation energy: -2161 kJ/mol of formula units
Crystal system: tetragonal

# 8
VASP calculation (PBE-GGA) on a relaxed Li10Zn4O9 crystal.

Lattice parameters (Å, degrees): 9.833 9.833 4.709 90.00 90.00 90.00
Atoms (fractional coordinates):
Li (0.062, 0.106, 0.040)
Li (0.062, 0.394, 0.040)
Li (0.106, 0.062, 0.540)
Li (0.106, 0.438, 0.540)
Li (0.250, 0.250, 0.081)
Li (0.250, 0.250, 0.581)
Li (0.394, 0.062, 0.540)
Li (0.394, 0.438, 0.540)
Li (0.438, 0.106, 0.040)
Li (0.438, 0.394, 0.040)
Li (0.562, 0.606, 0.960)
Li (0.562, 0.894, 0.960)
Li (0.606, 0.562, 0.460)
Li (0.606, 0.938, 0.460)
Li (0.750, 0.750, 0.419)
Li (0.750, 0.750, 0.919)
Li (0.894, 0.562, 0.460)
Li (0.894, 0.938, 0.460)
Li (0.938, 0.606, 0.960)
Li (0.938, 0.894, 0.960)
Zn (0.088, 0.750, 0.481)
Zn (0.250, 0.588, 0.019)
Zn (0.250, 0.912, 0.019)
Zn (0.412, 0.750, 0.481)
Zn (0.588, 0.250, 0.519)
Zn (0.750, 0.088, 0.981)
Zn (0.750, 0.412, 0.981)
Zn (0.912, 0.250, 0.519)
O (0.077, 0.577, 0.250)
O (0.077, 0.923, 0.250)
O (0.093, 0.250, 0.321)
O (0.250, 0.093, 0.821)
O (0.250, 0.407, 0.821)
O (0.250, 0.750, 0.750)
O (0.407, 0.250, 0.321)
O (0.423, 0.577, 0.250)
O (0.423, 0.923, 0.250)
O (0.577, 0.077, 0.750)
O (0.577, 0.423, 0.750)
O (0.593, 0.750, 0.679)
O (0.750, 0.250, 0.250)
O (0.750, 0.593, 0.179)
O (0.750, 0.907, 0.179)
O (0.907, 0.750, 0.679)
O (0.923, 0.077, 0.750)
O (0.923, 0.423, 0.750)

Output
E: -4.708 eV/atom
Volume: 9.90 Å³ per atom
Space-group type: P4_2/nmc
Formation energy: -4420 kJ/mol of formula units
Crystal system: tetragonal

# 9
VASP calculation (PBE-GGA) on a relaxed LiZrO2 crystal.

Lattice parameters (Å, degrees): 5.432 5.432 5.432 132.74 132.74 69.06
Atoms (fractional coordinates):
Li (0.375, 0.625, 0.750)
Li (0.625, 0.375, 0.250)
Zr (0.125, 0.875, 0.250)
Zr (0.875, 0.125, 0.750)
O (0.131, 0.381, 0.750)
O (0.381, 0.131, 0.250)
O (0.619, 0.869, 0.750)
O (0.869, 0.619, 0.250)

Output
E: -7.696 eV/atom
Volume: 10.61 Å³ per atom
Space-group type: I4_1/amd
Formation energy: -1139 kJ/mol of formula units
Crystal system: tetragonal

# 10
VASP calculation (PBE-GGA) on a relaxed Li4Zr3O8 crystal.

Lattice parameters (Å, degrees): 5.465 5.465 6.216 90.00 90.00 111.56
Atoms (fractional coordinates):
Li (0.000, 0.000, 0.000)
Li (0.000, 0.500, 0.745)
Li (0.500, 0.000, 0.255)
Li (0.500, 0.500, 0.500)
Zr (0.000, 0.000, 0.500)
Zr (0.000, 0.500, 0.223)
Zr (0.500, 0.000, 0.777)
O (0.219, 0.264, 0.268)
O (0.233, 0.767, 0.000)
O (0.241, 0.759, 0.500)
O (0.264, 0.219, 0.732)
O (0.736, 0.781, 0.732)
O (0.759, 0.241, 0.500)
O (0.767, 0.233, 0.000)
O (0.781, 0.736, 0.268)

Output
E: -7.619 eV/atom
Energy above the lowest structure with this stoichiometry: 22 meV per atom
Volume: 11.51 Å³ per atom
Space-group type: C222
Formation energy: -4527 kJ/mol of formula units
Crystal system: orthorhombic

# 11
VASP calculation (PBE-GGA) on a relaxed Li2Zr2O5 crystal.

Lattice parameters (Å, degrees): 5.631 5.631 7.608 108.08 108.08 72.00
Atoms (fractional coordinates):
Li (0.185, 0.781, 0.999)
Li (0.219, 0.815, 0.501)
Li (0.781, 0.185, 0.499)
Li (0.815, 0.219, 0.001)
Zr (0.223, 0.279, 0.379)
Zr (0.279, 0.223, 0.879)
Zr (0.721, 0.777, 0.121)
Zr (0.777, 0.721, 0.621)
O (0.000, 0.500, 0.000)
O (0.062, 0.938, 0.750)
O (0.070, 0.361, 0.628)
O (0.361, 0.070, 0.128)
O (0.500, 0.000, 0.500)
O (0.500, 0.500, 0.000)
O (0.500, 0.500, 0.500)
O (0.639, 0.930, 0.872)
O (0.930, 0.639, 0.372)
O (0.938, 0.062, 0.250)

Output
E: -7.906 eV/atom
Energy above the lowest structure with this stoichiometry: 8 meV per atom
Volume: 11.77 Å³ per atom
Space-group type: C2/c
Formation energy: -2792 kJ/mol of formula units
Crystal system: monoclinic

# 12
VASP calculation (PBE-GGA) on a relaxed Li4Zr3O8 crystal.

Lattice parameters (Å, degrees): 5.465 6.208 10.198 90.00 99.74 90.00
Atoms (fractional coordinates):
Li (0.000, 0.123, 0.250)
Li (0.000, 0.877, 0.750)
Li (0.257, 0.373, 0.492)
Li (0.257, 0.627, 0.992)
Li (0.500, 0.143, 0.750)
Li (0.500, 0.857, 0.250)
Li (0.743, 0.373, 0.008)
Li (0.743, 0.627, 0.508)
Zr (0.000, 0.397, 0.750)
Zr (0.000, 0.603, 0.250)
Zr (0.265, 0.139, 0.020)
Zr (0.265, 0.861, 0.520)
Zr (0.735, 0.139, 0.480)
Zr (0.735, 0.861, 0.980)
O (0.102, 0.373, 0.125)
O (0.102, 0.627, 0.625)
O (0.109, 0.124, 0.621)
O (0.109, 0.876, 0.121)
O (0.342, 0.358, 0.879)
O (0.342, 0.642, 0.379)
O (0.378, 0.105, 0.389)
O (0.378, 0.895, 0.889)
O (0.622, 0.105, 0.111)
O (0.622, 0.895, 0.611)
O (0.658, 0.358, 0.621)
O (0.658, 0.642, 0.121)
O (0.891, 0.124, 0.879)
O (0.891, 0.876, 0.379)
O (0.898, 0.373, 0.375)
O (0.898, 0.627, 0.875)

Output
E: -7.641 eV/atom
Energy above the lowest structure with this stoichiometry: 0 meV per atom
Volume: 11.37 Å³ per atom
Space-group type: P2/c
Formation energy: -4559 kJ/mol of formula units
Crystal system: monoclinic